## Pm3Pa (PBE)

Data for a geometry-optimized Pm3Pa structure.

Lattice parameters (Å, degrees): 6.166 6.166 6.166 132.33 132.33 69.72
Fractional coordinates of all 4 atoms:
Pm 0.750 0.250 0.500
Pm 0.250 0.750 0.500
Pm 0.500 0.500 0.000
Pa 0.000 0.000 0.000

Results
SG: I4/mmm (139)
Formation energy from the elements: 0.284 eV per atom


## PmPa (PBE)

Data for a geometry-optimized PmPa structure.

Lattice parameters (Å, degrees): 3.322 3.322 5.949 90.00 90.00 120.00
Fractional coordinates of all 2 atoms:
Pm 0.000 0.000 0.000
Pa 0.333 0.667 0.500

Results
SG: P-6m2 (187)
Formation energy from the elements: 0.264 eV per atom


## Pr3Pa (PBE)

Data for a geometry-optimized Pr3Pa structure.

Lattice parameters (Å, degrees): 7.185 7.185 5.904 90.00 90.00 120.00
Fractional coordinates of all 8 atoms:
Pr 0.830 0.660 0.750
Pr 0.660 0.830 0.250
Pr 0.830 0.170 0.750
Pr 0.170 0.340 0.250
Pr 0.170 0.830 0.250
Pr 0.340 0.170 0.750
Pa 0.333 0.667 0.750
Pa 0.667 0.333 0.250

Results
SG: P6_3/mmc (194)
Formation energy from the elements: 0.321 eV per atom


## PaPt3 (PBE)

Data for a geometry-optimized PaPt3 structure.

Lattice parameters (Å, degrees): 5.770 5.770 5.086 90.00 90.00 120.00
Fractional coordinates of all 8 atoms:
Pa 0.667 0.333 0.250
Pa 0.333 0.667 0.750
Pt 0.331 0.165 0.750
Pt 0.669 0.835 0.250
Pt 0.165 0.835 0.250
Pt 0.835 0.165 0.750
Pt 0.165 0.331 0.250
Pt 0.835 0.669 0.750

Results
SG: P6_3/mmc (194)
Formation energy from the elements: -1.025 eV per atom


## PaRe3 (PBE)

Data for a geometry-optimized PaRe3 structure.

Lattice parameters (Å, degrees): 4.846 4.846 4.846 127.35 127.35 77.69
Fractional coordinates of all 4 atoms:
Pa 0.000 0.000 0.000
Re 0.750 0.250 0.500
Re 0.250 0.750 0.500
Re 0.500 0.500 0.000

Results
SG: I4/mmm (139)
Formation energy from the elements: 0.301 eV per atom


## PaZnRh2 (PBE)

Data for a geometry-optimized PaZnRh2 structure.

Lattice parameters (Å, degrees): 4.648 4.648 4.648 60.00 60.00 60.00
Fractional coordinates of all 4 atoms:
Zn 0.750 0.750 0.750
Rh 0.000 0.000 0.000
Rh 0.500 0.500 0.500
Pa 0.250 0.250 0.250

Results
SG: Fm-3m (225)
Formation energy from the elements: -0.623 eV per atom